*1*
# CdBr6N4 (PBE-GGA, optimized geometry)
data_CdBr6N4
_chemical_formula_sum 'Cd2 Br12 N8'
_symmetry_space_group_name_H-M 'P 1'
_symmetry_Int_Tables_number 1
_cell_length_a 11.2057
_cell_length_b 11.2057
_cell_length_c 11.2057
_cell_angle_alpha 114.57
_cell_angle_beta 114.57
_cell_angle_gamma 114.57
loop_
_symmetry_equiv_pos_as_xyz
'x,y,z'
loop_
_atom_site_label
_atom_site_type_symbol
_atom_site_fract_x
_atom_site_fract_y
_atom_site_fract_z
_atom_site_occupancy
Cd1 Cd 0.5000 0.5000 0.5000 1
Cd2 Cd 0.0000 0.0000 0.0000 1
Br1 Br 0.4537 0.3431 0.7790 1
Br2 Br 0.7790 0.4537 0.3431 1
Br3 Br 0.3431 0.7790 0.4537 1
Br4 Br 0.2790 0.8431 0.9537 1
Br5 Br 0.9537 0.2790 0.8431 1
Br6 Br 0.8431 0.9537 0.2790 1
Br7 Br 0.5463 0.6569 0.2210 1
Br8 Br 0.2210 0.5463 0.6569 1
Br9 Br 0.6569 0.2210 0.5463 1
Br10 Br 0.7210 0.1569 0.0463 1
Br11 Br 0.0463 0.7210 0.1569 1
Br12 Br 0.1569 0.0463 0.7210 1
N1 N 0.2500 0.2500 0.2500 1
N2 N 0.7500 0.7500 0.7500 1
N3 N 0.6395 0.8605 0.2500 1
N4 N 0.2500 0.6395 0.8605 1
N5 N 0.8605 0.2500 0.6395 1
N6 N 0.7500 0.3605 0.1395 1
N7 N 0.1395 0.7500 0.3605 1
N8 N 0.3605 0.1395 0.7500 1
# Volume, A^3/atom: 37.15

*2*
# CdBr6N4 (PBE-GGA, optimized geometry)
data_CdBr6N4
_chemical_formula_sum 'Cd2 Br12 N8'
_symmetry_space_group_name_H-M 'P 1'
_symmetry_Int_Tables_number 1
_cell_length_a 8.8669
_cell_length_b 8.8669
_cell_length_c 8.8669
_cell_angle_alpha 99.45
_cell_angle_beta 99.45
_cell_angle_gamma 99.45
loop_
_symmetry_equiv_pos_as_xyz
'x,y,z'
loop_
_atom_site_label
_atom_site_type_symbol
_atom_site_fract_x
_atom_site_fract_y
_atom_site_fract_z
_atom_site_occupancy
Cd1 Cd 0.5000 0.5000 0.5000 1
Cd2 Cd 0.0000 0.0000 0.0000 1
Br1 Br 0.3928 0.3705 0.8463 1
Br2 Br 0.8463 0.3928 0.3705 1
Br3 Br 0.3705 0.8463 0.3928 1
Br4 Br 0.3463 0.8705 0.8928 1
Br5 Br 0.8928 0.3463 0.8705 1
Br6 Br 0.8705 0.8928 0.3463 1
Br7 Br 0.6072 0.6295 0.1537 1
Br8 Br 0.1537 0.6072 0.6295 1
Br9 Br 0.6295 0.1537 0.6072 1
Br10 Br 0.6537 0.1295 0.1072 1
Br11 Br 0.1072 0.6537 0.1295 1
Br12 Br 0.1295 0.1072 0.6537 1
N1 N 0.2500 0.2500 0.2500 1
N2 N 0.7500 0.7500 0.7500 1
N3 N 0.6586 0.8414 0.2500 1
N4 N 0.2500 0.6586 0.8414 1
N5 N 0.8414 0.2500 0.6586 1
N6 N 0.7500 0.3414 0.1586 1
N7 N 0.1586 0.7500 0.3414 1
N8 N 0.3414 0.1586 0.7500 1
# Volume, A^3/atom: 30.23

Q: Which of them is the least stable? A: *2*.

*1*
# CdBr2O4 (PBE-GGA, optimized geometry)
data_CdBr2O4
_chemical_formula_sum 'Cd2 Br4 O8'
_symmetry_space_group_name_H-M 'P 1'
_symmetry_Int_Tables_number 1
_cell_length_a 9.5182
_cell_length_b 3.7035
_cell_length_c 7.5951
_cell_angle_alpha 63.57
_cell_angle_beta 90.00
_cell_angle_gamma 90.00
loop_
_symmetry_equiv_pos_as_xyz
'x,y,z'
loop_
_atom_site_label
_atom_site_type_symbol
_atom_site_fract_x
_atom_site_fract_y
_atom_site_fract_z
_atom_site_occupancy
Cd1 Cd 0.5000 0.0000 0.0000 1
Cd2 Cd 0.0000 0.0000 0.5000 1
Br1 Br 0.1793 0.5694 0.0019 1
Br2 Br 0.8207 0.4306 0.9981 1
Br3 Br 0.3207 0.5694 0.5019 1
Br4 Br 0.6793 0.4306 0.4981 1
O1 O 0.4222 0.5526 0.3141 1
O2 O 0.5778 0.4474 0.6859 1
O3 O 0.0778 0.5526 0.8141 1
O4 O 0.9222 0.4474 0.1859 1
O5 O 0.1439 0.5779 0.4187 1
O6 O 0.8561 0.4221 0.5813 1
O7 O 0.3561 0.5779 0.9187 1
O8 O 0.6439 0.4221 0.0813 1
# Volume, A^3/atom: 17.13

*2*
# CdBr2O4 (PBE-GGA, optimized geometry)
data_CdBr2O4
_chemical_formula_sum 'Cd2 Br4 O8'
_symmetry_space_group_name_H-M 'P 1'
_symmetry_Int_Tables_number 1
_cell_length_a 3.7356
_cell_length_b 7.5549
_cell_length_c 8.8981
_cell_angle_alpha 90.00
_cell_angle_beta 90.00
_cell_angle_gamma 90.00
loop_
_symmetry_equiv_pos_as_xyz
'x,y,z'
loop_
_atom_site_label
_atom_site_type_symbol
_atom_site_fract_x
_atom_site_fract_y
_atom_site_fract_z
_atom_site_occupancy
Cd1 Cd 0.5000 0.5000 0.5000 1
Cd2 Cd 0.0000 0.0000 0.0000 1
Br1 Br 0.0000 0.7785 0.3924 1
Br2 Br 0.0000 0.2215 0.6076 1
Br3 Br 0.5000 0.7215 0.8924 1
Br4 Br 0.5000 0.2785 0.1076 1
O1 O 0.5000 0.2773 0.3474 1
O2 O 0.5000 0.7227 0.6526 1
O3 O 0.0000 0.2227 0.8474 1
O4 O 0.0000 0.7773 0.1526 1
O5 O 0.5000 0.7239 0.1139 1
O6 O 0.5000 0.2761 0.8861 1
O7 O 0.0000 0.7761 0.6139 1
O8 O 0.0000 0.2239 0.3861 1
# Volume, A^3/atom: 17.94

*3*
# CdBr2O4 (PBE-GGA, optimized geometry)
data_CdBr2O4
_chemical_formula_sum 'Cd2 Br4 O8'
_symmetry_space_group_name_H-M 'P 1'
_symmetry_Int_Tables_number 1
_cell_length_a 3.9051
_cell_length_b 6.6281
_cell_length_c 10.4735
_cell_angle_alpha 81.23
_cell_angle_beta 85.77
_cell_angle_gamma 89.24
loop_
_symmetry_equiv_pos_as_xyz
'x,y,z'
loop_
_atom_site_label
_atom_site_type_symbol
_atom_site_fract_x
_atom_site_fract_y
_atom_site_fract_z
_atom_site_occupancy
Cd1 Cd 0.4129 0.5481 0.4851 1
Cd2 Cd 0.8514 0.9401 0.9309 1
Br1 Br 0.9941 0.5565 0.1991 1
Br2 Br 0.8786 0.4482 0.7124 1
Br3 Br 0.6869 0.1282 0.3314 1
Br4 Br 0.4008 0.9719 0.6636 1
O1 O 0.4164 0.2167 0.4604 1
O2 O 0.6351 0.7832 0.5873 1
O3 O 0.1325 0.7837 0.0989 1
O4 O 0.1928 0.2316 0.0350 1
O5 O 0.5153 0.2270 0.0271 1
O6 O 0.3894 0.8521 0.8349 1
O7 O 0.9456 0.6162 0.3606 1
O8 O 0.0481 0.1965 0.7735 1
# Volume, A^3/atom: 19.09

Q: Which of them is the least stable? A: *2*.

*1*
# Rb2CrBr2Cl2 (PBE-GGA, optimized geometry)
data_Rb2CrBr2Cl2
_chemical_formula_sum 'Rb2 Cr1 Br2 Cl2'
_symmetry_space_group_name_H-M 'P 1'
_symmetry_Int_Tables_number 1
_cell_length_a 9.3037
_cell_length_b 9.3037
_cell_length_c 9.3037
_cell_angle_alpha 148.30
_cell_angle_beta 148.30
_cell_angle_gamma 45.44
loop_
_symmetry_equiv_pos_as_xyz
'x,y,z'
loop_
_atom_site_label
_atom_site_type_symbol
_atom_site_fract_x
_atom_site_fract_y
_atom_site_fract_z
_atom_site_occupancy
Rb1 Rb 0.6355 0.6355 0.0000 1
Rb2 Rb 0.3645 0.3645 0.0000 1
Cr1 Cr 0.0000 0.0000 0.0000 1
Br1 Br 0.8469 0.8469 0.0000 1
Br2 Br 0.1531 0.1531 0.0000 1
Cl1 Cl 0.5000 0.0000 0.5000 1
Cl2 Cl 0.0000 0.5000 0.5000 1
# Volume, A^3/atom: 31.66

*2*
# Rb2CrBr2Cl2 (PBE-GGA, optimized geometry)
data_Rb2CrBr2Cl2
_chemical_formula_sum 'Rb4 Cr2 Br4 Cl4'
_symmetry_space_group_name_H-M 'P 1'
_symmetry_Int_Tables_number 1
_cell_length_a 9.2892
_cell_length_b 9.2892
_cell_length_c 7.2465
_cell_angle_alpha 90.00
_cell_angle_beta 90.00
_cell_angle_gamma 134.00
loop_
_symmetry_equiv_pos_as_xyz
'x,y,z'
loop_
_atom_site_label
_atom_site_type_symbol
_atom_site_fract_x
_atom_site_fract_y
_atom_site_fract_z
_atom_site_occupancy
Rb1 Rb 0.1352 0.8648 0.5000 1
Rb2 Rb 0.6352 0.3648 0.0000 1
Rb3 Rb 0.8648 0.1352 0.5000 1
Rb4 Rb 0.3648 0.6352 0.0000 1
Cr1 Cr 0.5000 0.5000 0.5000 1
Cr2 Cr 0.0000 0.0000 0.0000 1
Br1 Br 0.3469 0.6531 0.5000 1
Br2 Br 0.8469 0.1531 0.0000 1
Br3 Br 0.6531 0.3469 0.5000 1
Br4 Br 0.1531 0.8469 0.0000 1
Cl1 Cl 0.2605 0.2605 0.2597 1
Cl2 Cl 0.7395 0.7395 0.7403 1
Cl3 Cl 0.2395 0.2395 0.7597 1
Cl4 Cl 0.7605 0.7605 0.2403 1
# Volume, A^3/atom: 32.13

Q: Which of them is the least stable? A: *1*.

*1*
# PbBrCl (PBE-GGA, optimized geometry)
data_PbBrCl
_chemical_formula_sum 'Pb4 Br4 Cl4'
_symmetry_space_group_name_H-M 'P 1'
_symmetry_Int_Tables_number 1
_cell_length_a 4.6493
_cell_length_b 7.9353
_cell_length_c 9.4731
_cell_angle_alpha 90.00
_cell_angle_beta 90.00
_cell_angle_gamma 90.00
loop_
_symmetry_equiv_pos_as_xyz
'x,y,z'
loop_
_atom_site_label
_atom_site_type_symbol
_atom_site_fract_x
_atom_site_fract_y
_atom_site_fract_z
_atom_site_occupancy
Pb1 Pb 0.2500 0.7480 0.9078 1
Pb2 Pb 0.7500 0.2520 0.0922 1
Pb3 Pb 0.2500 0.2480 0.5922 1
Pb4 Pb 0.7500 0.7520 0.4078 1
Br1 Br 0.7500 0.4774 0.8365 1
Br2 Br 0.2500 0.0226 0.3365 1
Br3 Br 0.7500 0.9774 0.6635 1
Br4 Br 0.2500 0.5226 0.1635 1
Cl1 Cl 0.7500 0.3593 0.4290 1
Cl2 Cl 0.2500 0.1407 0.9290 1
Cl3 Cl 0.7500 0.8593 0.0710 1
Cl4 Cl 0.2500 0.6407 0.5710 1
# Volume, A^3/atom: 29.12

*2*
# PbBrCl (PBE-GGA, optimized geometry)
data_PbBrCl
_chemical_formula_sum 'Pb2 Br2 Cl2'
_symmetry_space_group_name_H-M 'P 1'
_symmetry_Int_Tables_number 1
_cell_length_a 4.7031
_cell_length_b 4.7031
_cell_length_c 7.9024
_cell_angle_alpha 90.00
_cell_angle_beta 90.00
_cell_angle_gamma 90.00
loop_
_symmetry_equiv_pos_as_xyz
'x,y,z'
loop_
_atom_site_label
_atom_site_type_symbol
_atom_site_fract_x
_atom_site_fract_y
_atom_site_fract_z
_atom_site_occupancy
Pb1 Pb 0.5000 0.0000 0.7669 1
Pb2 Pb 0.0000 0.5000 0.2331 1
Br1 Br 0.0000 0.5000 0.6352 1
Br2 Br 0.5000 0.0000 0.3648 1
Cl1 Cl 0.0000 0.0000 0.0000 1
Cl2 Cl 0.5000 0.5000 0.0000 1
# Volume, A^3/atom: 29.13

Q: Which of them is the least stable? A: *2*.